No. 1
The following is a PBE with a Hubbard U calculation of SnMo4O6 after structural relaxation, from the Materials Project database.

```
SnMo4O6
1.0
-9.4359 -2.4742 0.7775
2.0247 -5.1944 8.0425
-0.5333 2.6045 1.8164
O Mo Sn
12 8 2
Cartesian
-8.4864 -3.5990 2.6689
-5.2467 -6.8197 8.2382
-1.3421 -3.4959 4.6186
-3.7277 -2.4664 2.4422
-2.1645 -0.8489 0.5817
-6.0690 -4.1727 4.2013
-1.5943 -0.7396 3.4461
1.0753 -4.0697 6.1510
-1.4466 -3.5635 7.5386
-6.3501 -4.3246 7.1903
-6.4978 -1.5007 3.0978
-3.6834 -5.2022 6.3778
-1.8652 -5.5747 7.4458
-5.5460 -2.0939 1.3742
-3.2728 -0.3412 2.3821
-7.1430 -5.3753 5.6104
-7.5832 -2.6238 4.3895
-0.3612 -2.4404 6.2468
-4.6716 -4.7230 8.2543
-0.2681 -2.2933 3.2095
0.0000 0.0000 0.0000
-3.7056 -3.8343 4.4100
```

As for the space group: No. 127. The value obtained for the raw total energy is -6.8761 eV per atom.

---

No. 2
The following is a PBE with a Hubbard U calculation of KVCdO4 after structural relaxation, from the Materials Project database.

```
KVCdO4
1.0
-0.5743 -3.0512 4.9228
6.5165 -11.9586 -6.6518
24.6391 -5.3893 -0.4661
O K V Cd
64 16 16 16
Cartesian
16.4637 -12.8131 -4.0782
19.6838 -9.0367 -2.0133
20.5184 -16.7486 -4.2196
9.2731 -12.2215 -2.4275
9.6213 -6.8033 0.5801
26.1315 -11.7968 -3.5020
24.3575 -16.8304 -0.8964
13.6870 -10.7677 1.3128
13.6519 -9.9525 -1.8970
11.7644 -6.4707 2.9548
5.5316 -10.4076 -0.5144
7.2926 -6.7223 -1.1668
15.8416 -16.8386 -1.8489
20.9600 -13.5957 -2.7752
22.6149 -5.1097 -0.2016
4.9812 -3.8983 3.2781
23.1983 -15.4965 -4.2955
15.1163 -12.4468 -1.2833
26.2117 -12.3720 -0.6793
17.8730 -12.9866 -0.9339
25.0497 -9.9915 -1.6808
11.0261 -12.0189 -5.3258
13.6339 -11.0200 -4.7217
16.9294 -10.4465 -0.2982
25.7528 -14.7807 -3.2347
21.3082 -8.1775 0.2324
23.2887 -13.6768 -1.0283
4.4498 -8.6023 1.3069
8.5713 -10.0120 -0.8978
28.4247 -18.1328 -4.3415
28.8205 -15.3102 -4.6298
27.3536 -15.5784 -0.8113
19.5552 -8.3802 3.1307
13.2885 -13.7640 -5.3081
16.9474 -9.3791 2.5265
2.1566 -2.2663 2.1463
12.7084 -7.4124 -1.2612
1.7608 -5.0888 2.4347
21.4099 -15.8872 -1.0939
18.2875 -7.6229 0.6619
4.3696 -8.0270 -1.5158
24.1561 -8.7819 2.1031
15.4650 -7.9523 -0.9118
7.9664 -15.2893 -1.9935
10.0629 -3.6504 2.0245
6.4252 -11.6171 -4.2983
4.8285 -5.6184 1.0396
9.8328 -6.9361 -2.2846
6.2238 -3.5686 -1.2988
18.8169 -13.9283 -5.1499
16.8944 -9.6314 -3.5080
25.6002 -16.5008 -5.4733
21.6928 -10.8160 2.4736
17.2928 -6.6350 3.1130
14.1176 -7.5860 1.8830
10.8975 -11.3623 -0.1818
12.2938 -12.7761 -2.8571
9.1714 -4.5118 -1.1013
20.7485 -13.4630 0.0894
7.3830 -4.9025 2.1004
8.8885 -9.5830 -4.6687
14.7398 -3.5604 -0.3463
22.0100 -10.3870 -1.2974
3.2277 -4.8206 -1.3839
3.9682 -2.7389 0.2488
6.8157 -9.0286 -2.8677
26.6131 -17.6602 -2.4440
7.3564 -8.5164 0.9657
19.7136 -11.0111 0.4101
18.5406 -15.3057 -2.4055
12.0408 -5.0934 0.2103
23.2249 -11.8826 -3.1609
6.1805 -12.8260 -1.8256
10.8677 -9.3879 -2.6053
19.1708 -11.5343 -3.4055
24.4008 -7.5730 -0.3696
16.2483 -5.6435 0.3545
14.3331 -14.7556 -2.5497
23.7656 -11.3704 0.6725
11.4105 -8.8647 1.2103
21.5936 -14.1178 -1.2183
1.2183 -3.5305 2.9360
5.7128 -5.2596 2.5149
4.2655 -9.3190 -0.2856
14.0243 -8.2365 -1.9167
18.0236 -8.0006 2.3566
12.5577 -12.3985 -4.5518
24.8685 -15.1394 -4.7101
13.5080 -6.3836 2.9584
8.9877 -6.2812 -0.9769
29.3630 -16.8685 -5.1311
26.3158 -11.0800 -1.9096
17.0733 -14.0155 -5.1536
9.2494 -11.5541 -0.7740
21.3319 -8.8450 -1.4211
16.5570 -12.1625 -0.2785
27.6404 -13.6187 -3.7383
15.2804 -11.1386 -3.1591
20.2273 -6.2366 0.3311
17.5982 -8.5120 -1.5215
21.0356 -14.5866 -4.8568
22.6541 -16.9607 -2.5922
12.9831 -11.8870 -0.6736
25.3058 -14.5650 -0.9336
7.9272 -3.4384 0.3970
21.8636 -8.5159 2.4429
5.2755 -5.8341 -1.2615
9.5457 -5.8124 2.6617
15.3009 -9.2605 0.9640
8.7177 -11.8831 -4.6380
10.3540 -14.1624 -2.5263
2.9409 -6.7804 1.5431
```

As for the space group: No. 14. The value obtained for the raw total energy is -5.9275 eV per atom.

---

No. 3
The following is a PBE with a Hubbard U calculation of VBiPbO5 after structural relaxation, from the Materials Project database.

```
VBiPbO5
1.0
5.8313 0.0000 0.0000
-2.7889 6.7687 0.0000
-1.0160 -2.6313 6.7692
O V Pb Bi
10 2 2 2
Cartesian
0.6506 0.2300 5.0072
-0.4487 1.7679 2.0414
2.4751 2.3695 4.7279
1.3758 3.9074 1.7620
2.2090 0.3388 2.6732
-1.4344 4.2878 1.4489
3.4608 -0.1504 5.3203
1.6942 6.6063 0.0178
-0.1825 3.7986 4.0960
0.3323 -2.4689 6.7514
2.1880 0.6654 4.4119
-0.1616 3.4720 2.3574
-0.9697 2.3117 6.0153
2.9962 1.8257 0.7539
1.8453 4.5871 5.0530
0.1811 -0.4497 1.7163
```

The energy above the most stable polymorph in this dataset comes out at 0.2 kJ per mole of atoms. As for the space group: No. 2. The value obtained for the raw total energy is -6.5582 eV per atom.

---

No. 4
The following is a PBE with a Hubbard U calculation of Al2FeP2H18O18 after structural relaxation, from the Materials Project database.

```
Al2FeP2H18O18
1.0
-4.1072 2.0171 2.8004
-4.0210 -5.1142 2.6715
4.4913 -1.2851 10.5051
H O P Al Fe
18 18 2 2 1
Cartesian
-2.0184 -2.7167 11.6049
-4.8954 -1.9981 5.3336
-1.9957 -3.3646 7.7703
-1.2526 -2.4827 12.9706
-2.3843 -1.8995 3.0064
1.1890 -4.5966 11.6021
-1.6411 -1.0176 8.2067
-0.2098 -4.9212 13.5493
-4.8259 0.2144 4.3750
-0.0786 -3.0470 11.2312
-3.4270 0.5390 2.4278
-4.3518 -0.8360 7.0945
1.2586 -2.3841 10.6434
-3.5583 -1.3352 4.7458
-1.5209 0.5446 3.4495
0.7149 -3.5462 8.8825
-1.6184 -1.6655 4.3722
-2.1159 -4.9268 12.5275
-1.9667 -5.2311 9.7389
-4.0167 -4.2876 11.0008
0.3799 -0.0946 4.9762
-2.5938 -3.3750 14.9391
-2.9347 -1.8448 10.8604
-4.3949 -1.1573 5.2835
0.7580 -3.2249 10.6935
-5.2855 -3.6878 6.5007
-1.0431 -1.0072 1.0379
-3.6772 -2.7834 8.2906
-1.6701 0.8489 6.2382
0.0404 -1.5988 7.6864
-2.3238 -1.2451 3.7264
-0.7021 -2.5374 5.1166
-1.2912 -3.9651 7.4264
1.6486 -0.6944 9.4763
-2.3456 -0.4171 8.5506
-1.3130 -3.1371 12.2507
-4.5461 -4.0041 7.9333
0.9093 -0.3781 8.0438
0.2352 -3.1997 6.5883
2.2457 -0.6426 5.2526
0.0000 0.0000 0.0000
```

The energy above the most stable polymorph in this dataset comes out at 28.8 kJ per mole of atoms. As for the space group: No. 2. The value obtained for the raw total energy is -5.4754 eV per atom.

---

No. 5
The following is a PBE with a Hubbard U calculation of BaNaDyWO6 after structural relaxation, from the Materials Project database.

```
BaNaDyWO6
1.0
-2.0338 4.6694 3.0604
-3.9594 -0.8001 4.3576
1.6194 0.7734 5.6644
Na Dy W O Ba
1 1 1 6 1
Cartesian
-1.0935 1.1607 3.2706
0.0000 0.0000 0.0000
-2.1869 2.3214 6.5412
-3.0121 0.8681 5.5246
-0.4149 1.6007 6.1330
-2.2582 1.2282 8.1618
-2.1157 3.4145 4.9207
-1.3617 3.7746 7.5578
-3.9590 3.0421 6.9494
-3.2804 3.4820 9.8118
```

As for the space group: No. 216. The value obtained for the raw total energy is -7.1237 eV per atom.

---

No. 6
The following is a PBE with a Hubbard U calculation of MgCo5SbO12 after structural relaxation, from the Materials Project database.

```
MgCo5SbO12
1.0
-3.7813 -3.2853 -1.2475
0.7159 -3.3793 -3.7468
4.3913 -5.6234 6.9287
O Sb Co Mg
12 1 5 1
Cartesian
1.8913 -4.0647 3.8640
0.3783 -6.1047 -0.1732
-1.9534 -3.9647 -1.4618
3.2564 -8.1066 3.3872
1.5738 -7.0184 5.3580
0.8920 -6.2152 2.2506
-0.3396 -8.5072 0.6856
-0.6960 -8.4336 -1.9148
-2.8160 -6.1674 -3.0956
0.4000 -9.3150 3.7100
1.5078 -3.8939 1.3284
-0.1123 -5.0300 -3.4107
1.3231 -12.1524 1.8877
-0.8046 -6.7175 1.1913
0.8705 -7.7745 -0.9555
1.9666 -5.6400 0.7784
2.3734 -9.9661 3.5630
-0.8416 -2.3949 -1.3877
2.5276 -6.1246 3.6607
```

The energy above the most stable polymorph in this dataset comes out at 0.0 kJ per mole of atoms. As for the space group: No. 1. The value obtained for the raw total energy is -5.8044 eV per atom.

---

No. 7
The following is a PBE with a Hubbard U calculation of LiCrCSO7 after structural relaxation, from the Materials Project database.

```
LiCrCSO7
1.0
9.2672 -0.0003 0.0354
-0.0002 6.3819 0.0001
0.2539 0.0001 5.2247
S O Li Cr C
2 14 2 2 2
Cartesian
4.1548 1.4890 3.8175
5.3663 4.6799 1.4427
7.9166 1.5300 0.2836
9.0639 5.1143 3.6776
1.8683 4.6758 2.8083
3.3102 0.3195 4.1348
0.4569 1.9234 1.5824
6.1921 5.8575 1.0719
6.2114 3.5106 1.1254
5.4343 1.4642 4.5693
4.0867 4.6551 0.6907
3.3287 2.6664 4.1886
5.0577 4.7175 2.9044
1.6040 4.7215 4.9768
4.4632 1.5268 2.3560
7.6526 1.4846 2.4520
1.3207 3.5834 1.2977
8.2005 0.3923 3.9625
6.1205 1.4898 1.1728
3.3993 4.6818 4.0872
0.9945 4.8443 3.8031
8.5261 1.6528 1.4569
```

As for the space group: No. 4. The value obtained for the raw total energy is -6.8562 eV per atom.

---

No. 8
The following is a PBE with a Hubbard U calculation of FeP2CO8 after structural relaxation, from the Materials Project database.

```
FeP2CO8
1.0
-5.2555 -0.5984 6.6664
-6.3920 7.8410 -3.5340
-8.9014 -3.9637 -3.8267
O Fe P C
32 4 8 4
Cartesian
-11.8468 2.8723 1.5767
-11.0571 4.0267 -3.9828
-15.1357 -0.9984 -0.1506
-5.1057 -1.3297 2.1652
-6.0083 -1.2004 1.3385
-14.5700 -2.8074 2.3751
-10.0178 6.7698 1.7723
-14.5407 4.4793 -2.0328
-9.7535 -0.0640 0.1913
-7.2081 6.1095 -0.4884
-8.6946 6.7778 -4.3162
-9.0675 1.6241 4.3977
-12.8464 0.9386 -0.6394
-11.4545 -1.7120 1.4747
-5.2252 2.1807 1.4441
-15.4432 4.6087 -2.8595
-11.4815 1.6549 -5.0920
-7.7025 2.3404 -0.0549
-15.3237 1.0982 -2.1384
-15.5167 2.6309 0.2467
-5.4133 4.2773 -0.5437
-10.5311 -3.4908 -2.4666
-9.4918 -0.7478 3.2885
-5.9789 6.0863 -3.0694
-5.0322 0.6480 -0.9410
-11.6091 -1.4019 -3.4995
-13.3408 -2.8305 -0.2060
-8.7021 0.4066 -2.2710
-9.0944 4.9910 -2.1690
-11.8543 -3.4988 3.6219
-10.7954 3.3429 -0.8856
-8.9398 4.6808 2.8052
-15.9897 0.7491 -0.2682
-4.5592 2.5298 -0.4261
-7.7066 6.4324 -2.3608
-12.8423 -3.1534 1.6665
-6.6081 4.8811 0.2054
-9.5428 4.0867 -1.0441
-13.9408 -1.6021 -0.8997
-11.2622 3.2055 -5.1868
-9.2867 0.0734 4.4924
-18.7568 1.9125 -0.7882
-1.7921 1.3664 0.0939
-11.0062 -0.8078 0.3498
-2.6098 0.1086 -1.0615
-12.6689 -0.2420 -0.5856
-7.8801 3.5209 -0.1087
-17.9391 3.1704 0.3671
```

The energy above the most stable polymorph in this dataset comes out at 33.9 kJ per mole of atoms. As for the space group: No. 2. The value obtained for the raw total energy is -6.5427 eV per atom.